Entry 1:
VASP calculation (PBE) on a relaxed structure of Na14Y4Hf4Si9S3O48.

Summary:
The formation energy is -3.00 eV per atom. The magnetization comes out at 0.00 μB per formula unit.

The structure in CIF format:
```
data_Na14Y4Hf4Si9S3O48
_chemical_formula_sum 'Na42 Y12 Hf12 Si27 S9 O144'
_cell_length_a 9.336
_cell_length_b 16.197
_cell_length_c 22.776
_cell_angle_alpha 90.07
_cell_angle_beta 90.01
_cell_angle_gamma 90.01
_space_group_name_H-M_alt 'P 1'
_space_group_IT_number 1
loop_
_space_group_symop_operation_xyz
'x,y,z'
loop_
_atom_site_label
_atom_site_fract_x
_atom_site_fract_y
_atom_site_fract_z
Na1 0.000 0.000 0.000
Na2 0.001 0.668 0.352
Na3 0.017 0.653 0.997
Na4 0.025 0.308 0.341
Na5 0.124 0.807 0.834
Na6 0.136 0.151 0.502
Na7 0.150 0.507 0.510
Na8 0.152 0.170 0.847
Na9 0.157 0.476 0.180
Na10 0.168 0.163 0.175
Na11 0.172 0.825 0.521
Na12 0.205 0.506 0.840
Na13 0.317 0.335 0.259
Na14 0.317 0.656 0.925
Na15 0.318 0.978 0.089
Na16 0.334 0.339 0.751
Na17 0.334 0.988 0.591
Na18 0.337 0.644 0.430
Na19 0.441 0.500 0.349
Na20 0.459 0.825 0.013
Na21 0.490 0.164 0.667
Na22 0.499 0.485 0.675
Na23 0.500 0.523 0.001
Na24 0.503 0.168 0.355
Na25 0.529 0.806 0.326
Na26 0.625 0.312 0.821
Na27 0.649 0.670 0.835
Na28 0.652 0.021 0.508
Na29 0.659 0.975 0.178
Na30 0.664 0.665 0.166
Na31 0.694 0.329 0.518
Na32 0.712 0.997 0.843
Na33 0.809 0.143 0.922
Na34 0.817 0.833 0.254
Na35 0.819 0.491 0.089
Na36 0.822 0.824 0.753
Na37 0.827 0.489 0.593
Na38 0.835 0.157 0.433
Na39 0.945 0.005 0.349
Na40 0.968 0.662 0.673
Na41 0.979 0.326 0.009
Na42 0.994 0.972 0.677
Y1 0.319 0.330 0.407
Y2 0.324 0.001 0.443
Y3 0.329 0.329 0.905
Y4 0.329 0.660 0.769
Y5 0.333 0.664 0.075
Y6 0.336 0.655 0.271
Y7 0.817 0.156 0.771
Y8 0.819 0.165 0.575
Y9 0.824 0.828 0.407
Y10 0.828 0.503 0.941
Y11 0.833 0.159 0.272
Y12 0.833 0.830 0.906
Hf1 0.317 0.329 0.107
Hf2 0.322 0.004 0.947
Hf3 0.324 0.657 0.578
Hf4 0.326 0.993 0.737
Hf5 0.328 0.995 0.237
Hf6 0.329 0.336 0.602
Hf7 0.818 0.501 0.735
Hf8 0.824 0.835 0.102
Hf9 0.826 0.494 0.236
Hf10 0.832 0.505 0.448
Hf11 0.832 0.825 0.609
Hf12 0.839 0.159 0.074
Si1 0.025 0.330 0.502
Si2 0.034 0.997 0.839
Si3 0.117 0.497 0.339
Si4 0.126 0.829 0.002
Si5 0.171 0.507 0.674
Si6 0.172 0.180 0.006
Si7 0.172 0.477 0.006
Si8 0.178 0.815 0.672
Si9 0.181 0.147 0.336
Si10 0.472 0.139 0.839
Si11 0.474 0.179 0.506
Si12 0.479 0.484 0.504
Si13 0.482 0.502 0.172
Si14 0.486 0.818 0.174
Si15 0.527 0.495 0.842
Si16 0.623 0.995 0.341
Si17 0.627 0.665 0.678
Si18 0.664 0.317 0.674
Si19 0.670 0.004 0.672
Si20 0.674 0.983 0.006
Si21 0.679 0.680 0.007
Si22 0.682 0.639 0.338
Si23 0.975 0.315 0.172
Si24 0.977 0.647 0.838
Si25 0.977 0.976 0.506
Si26 0.982 0.008 0.174
Si27 0.989 0.681 0.504
S1 0.015 0.663 0.175
S2 0.137 0.162 0.675
S3 0.180 0.849 0.337
S4 0.465 0.854 0.842
S5 0.526 0.162 0.174
S6 0.527 0.822 0.508
S7 0.624 0.322 0.009
S8 0.684 0.354 0.340
S9 0.971 0.349 0.838
O1 0.001 0.824 0.664
O2 0.003 0.844 0.054
O3 0.006 0.160 0.336
O4 0.010 0.499 0.396
O5 0.015 0.492 0.279
O6 0.021 0.846 0.336
O7 0.043 0.817 0.940
O8 0.044 0.150 0.623
O9 0.051 0.170 0.729
O10 0.101 0.670 0.229
O11 0.106 0.315 0.439
O12 0.107 0.651 0.123
O13 0.131 0.343 0.837
O14 0.139 0.999 0.898
O15 0.140 0.993 0.781
O16 0.151 0.343 0.552
O17 0.151 0.660 0.836
O18 0.153 0.971 0.510
O19 0.155 0.320 0.165
O20 0.159 0.006 0.176
O21 0.164 0.671 0.512
O22 0.191 0.235 0.947
O23 0.201 0.762 0.731
O24 0.208 0.572 0.619
O25 0.210 0.093 0.396
O26 0.210 0.584 0.340
O27 0.223 0.748 0.012
O28 0.224 0.416 0.336
O29 0.225 0.903 0.287
O30 0.229 0.085 0.678
O31 0.229 0.913 0.003
O32 0.230 0.571 0.013
O33 0.231 0.417 0.061
O34 0.234 0.085 0.004
O35 0.234 0.234 0.669
O36 0.235 0.884 0.392
O37 0.236 0.092 0.279
O38 0.238 0.911 0.675
O39 0.239 0.228 0.063
O40 0.239 0.439 0.946
O41 0.240 0.765 0.330
O42 0.244 0.417 0.663
O43 0.244 0.765 0.614
O44 0.250 0.544 0.733
O45 0.267 0.235 0.334
O46 0.394 0.230 0.840
O47 0.396 0.541 0.229
O48 0.397 0.088 0.511
O49 0.401 0.771 0.841
O50 0.404 0.449 0.444
O51 0.404 0.574 0.517
O52 0.411 0.234 0.562
O53 0.412 0.409 0.164
O54 0.416 0.090 0.780
O55 0.416 0.896 0.897
O56 0.419 0.903 0.790
O57 0.422 0.776 0.115
O58 0.423 0.914 0.179
O59 0.424 0.231 0.164
O60 0.425 0.082 0.895
O61 0.427 0.411 0.835
O62 0.430 0.580 0.841
O63 0.431 0.750 0.514
O64 0.438 0.899 0.509
O65 0.439 0.084 0.175
O66 0.439 0.227 0.445
O67 0.440 0.421 0.559
O68 0.455 0.760 0.232
O69 0.456 0.563 0.116
O70 0.487 0.325 0.669
O71 0.495 0.998 0.680
O72 0.499 0.650 0.629
O73 0.499 0.982 0.002
O74 0.505 0.669 0.009
O75 0.506 0.649 0.339
O76 0.508 0.992 0.284
O77 0.519 0.326 0.058
O78 0.525 0.351 0.339
O79 0.533 0.997 0.402
O80 0.548 0.313 0.953
O81 0.554 0.681 0.741
O82 0.600 0.175 0.230
O83 0.602 0.815 0.450
O84 0.614 0.493 0.905
O85 0.624 0.850 0.841
O86 0.631 0.153 0.125
O87 0.632 0.828 0.556
O88 0.644 0.492 0.788
O89 0.648 0.148 0.840
O90 0.649 0.169 0.508
O91 0.654 0.484 0.501
O92 0.657 0.497 0.180
O93 0.664 0.826 0.170
O94 0.691 0.067 0.617
O95 0.692 0.257 0.731
O96 0.713 0.398 0.011
O97 0.713 0.732 0.947
O98 0.713 0.921 0.061
O99 0.716 0.082 0.338
O100 0.720 0.249 0.016
O101 0.723 0.912 0.335
O102 0.724 0.579 0.677
O103 0.728 0.411 0.682
O104 0.728 0.582 0.394
O105 0.729 0.275 0.615
O106 0.731 0.402 0.288
O107 0.737 0.590 0.279
O108 0.738 0.392 0.395
O109 0.741 0.732 0.065
O110 0.741 0.738 0.663
O111 0.743 0.075 0.020
O112 0.743 0.268 0.336
O113 0.744 0.914 0.663
O114 0.752 0.044 0.730
O115 0.755 0.951 0.946
O116 0.756 0.588 0.011
O117 0.758 0.730 0.339
O118 0.888 0.735 0.834
O119 0.906 0.046 0.232
O120 0.907 0.264 0.115
O121 0.910 0.264 0.832
O122 0.910 0.917 0.163
O123 0.915 0.916 0.558
O124 0.915 0.941 0.443
O125 0.917 0.590 0.783
O126 0.918 0.734 0.170
O127 0.920 0.071 0.512
O128 0.920 0.382 0.895
O129 0.920 0.411 0.174
O130 0.920 0.733 0.559
O131 0.921 0.587 0.503
O132 0.922 0.586 0.177
O133 0.923 0.413 0.502
O134 0.925 0.402 0.789
O135 0.928 0.917 0.836
O136 0.929 0.248 0.512
O137 0.940 0.075 0.121
O138 0.943 0.084 0.841
O139 0.948 0.596 0.899
O140 0.951 0.261 0.231
O141 0.964 0.732 0.443
O142 0.994 0.171 0.014
O143 0.996 0.503 0.678
O144 0.997 0.470 0.010
```


Entry 2:
VASP calculation (PBE) on a relaxed structure of Na2Y4Hf4Si3S9O48.

Summary:
The formation energy is -2.77 eV per atom. The magnetization comes out at 0.00 μB per formula unit.

The structure in CIF format:
```
data_Na2Y4Hf4Si3S9O48
_chemical_formula_sum 'Na6 Y12 Hf12 Si9 S27 O144'
_cell_length_a 9.084
_cell_length_b 15.751
_cell_length_c 23.743
_cell_angle_alpha 90.00
_cell_angle_beta 90.06
_cell_angle_gamma 90.08
_space_group_name_H-M_alt 'P 1'
_space_group_IT_number 1
loop_
_space_group_symop_operation_xyz
'x,y,z'
loop_
_atom_site_label
_atom_site_fract_x
_atom_site_fract_y
_atom_site_fract_z
Na1 0.000 0.000 0.000
Na2 0.001 0.991 0.495
Na3 0.488 0.499 0.989
Na4 0.490 0.503 0.502
Na5 0.515 0.169 0.329
Na6 0.977 0.670 0.824
Y1 0.001 0.014 0.846
Y2 0.004 0.344 0.017
Y3 0.005 0.339 0.524
Y4 0.487 0.838 0.023
Y5 0.489 0.514 0.348
Y6 0.493 0.179 0.480
Y7 0.493 0.844 0.521
Y8 0.499 0.503 0.847
Y9 0.504 0.173 0.183
Y10 0.982 0.677 0.681
Y11 0.992 0.004 0.349
Y12 0.999 0.680 0.978
Hf1 0.008 0.681 0.184
Hf2 0.013 0.336 0.806
Hf3 0.481 0.835 0.310
Hf4 0.483 0.180 0.684
Hf5 0.490 0.178 0.971
Hf6 0.494 0.513 0.148
Hf7 0.497 0.512 0.645
Hf8 0.501 0.838 0.804
Hf9 0.992 0.339 0.306
Hf10 0.994 0.007 0.644
Hf11 0.996 0.010 0.147
Hf12 0.999 0.687 0.475
Si1 0.133 0.825 0.081
Si2 0.141 0.153 0.744
Si3 0.204 0.842 0.415
Si4 0.287 0.343 0.914
Si5 0.350 0.656 0.246
Si6 0.360 0.325 0.581
Si7 0.645 0.653 0.748
Si8 0.852 0.154 0.248
Si9 0.856 0.826 0.579
S1 0.135 0.486 0.414
S2 0.141 0.199 0.410
S3 0.146 0.863 0.748
S4 0.147 0.531 0.084
S5 0.204 0.506 0.746
S6 0.206 0.170 0.079
S7 0.285 0.669 0.579
S8 0.288 0.005 0.247
S9 0.345 0.033 0.584
S10 0.346 0.364 0.247
S11 0.352 0.698 0.910
S12 0.354 0.987 0.914
S13 0.632 0.322 0.078
S14 0.636 0.987 0.410
S15 0.646 0.361 0.744
S16 0.646 0.697 0.414
S17 0.650 0.032 0.078
S18 0.702 0.008 0.744
S19 0.707 0.668 0.083
S20 0.709 0.340 0.411
S21 0.782 0.841 0.911
S22 0.785 0.169 0.583
S23 0.789 0.508 0.245
S24 0.842 0.531 0.578
S25 0.846 0.197 0.914
S26 0.846 0.861 0.244
S27 0.854 0.486 0.911
O1 0.058 0.785 0.025
O2 0.059 0.920 0.092
O3 0.063 0.102 0.691
O4 0.064 0.246 0.756
O5 0.066 0.570 0.421
O6 0.075 0.114 0.405
O7 0.076 0.444 0.361
O8 0.076 0.900 0.798
O9 0.079 0.447 0.079
O10 0.081 0.575 0.132
O11 0.082 0.238 0.462
O12 0.091 0.762 0.134
O13 0.093 0.775 0.741
O14 0.094 0.922 0.409
O15 0.104 0.254 0.360
O16 0.108 0.753 0.422
O17 0.109 0.243 0.071
O18 0.109 0.429 0.754
O19 0.109 0.432 0.463
O20 0.110 0.580 0.739
O21 0.115 0.091 0.084
O22 0.117 0.916 0.697
O23 0.121 0.098 0.801
O24 0.129 0.581 0.031
O25 0.175 0.665 0.232
O26 0.178 0.330 0.858
O27 0.182 0.024 0.592
O28 0.184 0.332 0.576
O29 0.184 0.361 0.255
O30 0.188 0.354 0.970
O31 0.188 0.691 0.913
O32 0.189 0.654 0.529
O33 0.192 0.992 0.195
O34 0.192 0.999 0.910
O35 0.199 0.020 0.297
O36 0.199 0.679 0.631
O37 0.292 0.518 0.797
O38 0.295 0.183 0.129
O39 0.299 0.495 0.408
O40 0.300 0.492 0.696
O41 0.304 0.192 0.412
O42 0.305 0.158 0.028
O43 0.305 0.855 0.469
O44 0.308 0.833 0.075
O45 0.310 0.861 0.757
O46 0.312 0.520 0.092
O47 0.313 0.830 0.357
O48 0.317 0.166 0.732
O49 0.365 0.082 0.531
O50 0.372 0.596 0.299
O51 0.378 0.417 0.196
O52 0.380 0.590 0.585
O53 0.382 0.081 0.238
O54 0.382 0.742 0.571
O55 0.383 0.929 0.254
O56 0.383 0.934 0.964
O57 0.387 0.255 0.925
O58 0.388 0.754 0.860
O59 0.398 0.423 0.910
O60 0.401 0.262 0.634
O61 0.402 0.277 0.238
O62 0.410 0.738 0.962
O63 0.411 0.948 0.579
O64 0.413 0.077 0.632
O65 0.417 0.613 0.906
O66 0.417 0.949 0.863
O67 0.418 0.400 0.297
O68 0.424 0.073 0.924
O69 0.428 0.605 0.191
O70 0.430 0.748 0.256
O71 0.433 0.285 0.524
O72 0.433 0.420 0.593
O73 0.561 0.408 0.084
O74 0.564 0.748 0.758
O75 0.565 0.072 0.412
O76 0.566 0.278 0.028
O77 0.570 0.393 0.794
O78 0.571 0.606 0.692
O79 0.578 0.735 0.463
O80 0.580 0.941 0.359
O81 0.583 0.069 0.129
O82 0.584 0.610 0.407
O83 0.588 0.274 0.732
O84 0.590 0.947 0.069
O85 0.606 0.272 0.129
O86 0.606 0.939 0.462
O87 0.607 0.931 0.755
O88 0.608 0.081 0.732
O89 0.608 0.590 0.091
O90 0.610 0.599 0.804
O91 0.612 0.742 0.076
O92 0.613 0.415 0.405
O93 0.616 0.418 0.695
O94 0.617 0.749 0.362
O95 0.619 0.087 0.028
O96 0.619 0.261 0.411
O97 0.676 0.171 0.241
O98 0.677 0.525 0.585
O99 0.682 0.189 0.923
O100 0.683 0.836 0.860
O101 0.685 0.838 0.568
O102 0.686 0.856 0.253
O103 0.688 0.489 0.195
O104 0.689 0.179 0.632
O105 0.692 0.496 0.909
O106 0.694 0.849 0.962
O107 0.699 0.153 0.530
O108 0.700 0.523 0.295
O109 0.790 0.023 0.796
O110 0.791 0.333 0.070
O111 0.792 0.651 0.030
O112 0.797 0.349 0.462
O113 0.798 0.997 0.407
O114 0.800 0.989 0.696
O115 0.802 0.677 0.132
O116 0.807 0.355 0.754
O117 0.808 0.335 0.360
O118 0.808 0.688 0.421
O119 0.814 0.026 0.085
O120 0.820 0.668 0.745
O121 0.871 0.585 0.528
O122 0.872 0.249 0.863
O123 0.872 0.762 0.912
O124 0.877 0.245 0.576
O125 0.879 0.097 0.302
O126 0.879 0.916 0.906
O127 0.879 0.918 0.194
O128 0.882 0.581 0.231
O129 0.883 0.093 0.591
O130 0.883 0.431 0.254
O131 0.883 0.438 0.964
O132 0.888 0.770 0.634
O133 0.898 0.445 0.569
O134 0.905 0.774 0.232
O135 0.906 0.110 0.908
O136 0.909 0.566 0.629
O137 0.911 0.236 0.965
O138 0.911 0.441 0.861
O139 0.923 0.893 0.294
O140 0.924 0.107 0.191
O141 0.925 0.571 0.915
O142 0.930 0.250 0.258
O143 0.933 0.775 0.524
O144 0.939 0.920 0.587
```